An optimized crystal structure of MgMnN2. Source: the Materials Project database, functional PBE-GGA.

The structure in CIF format:
```
data_MgMnN2
_chemical_formula_sum 'Mg16 Mn16 N32'
_space_group_name_H-M_alt 'P 1'
_space_group_IT_number 1
_space_group_name_Hall 'P 1'
_cell_length_a 5.178
_cell_length_b 11.270
_cell_length_c 13.384
_cell_angle_alpha 90.00
_cell_angle_beta 90.00
_cell_angle_gamma 90.00
loop_
_atom_site_label
_atom_site_fract_x
_atom_site_fract_y
_atom_site_fract_z
Mg1 0.092 0.049 0.178
Mg2 0.092 0.451 0.678
Mg3 0.144 0.704 0.566
Mg4 0.144 0.796 0.066
Mg5 0.356 0.204 0.566
Mg6 0.356 0.296 0.066
Mg7 0.408 0.549 0.178
Mg8 0.408 0.951 0.678
Mg9 0.592 0.049 0.322
Mg10 0.592 0.451 0.822
Mg11 0.644 0.704 0.934
Mg12 0.644 0.796 0.434
Mg13 0.856 0.204 0.934
Mg14 0.856 0.296 0.434
Mg15 0.908 0.549 0.322
Mg16 0.908 0.951 0.822
Mn1 0.123 0.550 0.937
Mn2 0.123 0.950 0.437
Mn3 0.166 0.696 0.801
Mn4 0.166 0.804 0.301
Mn5 0.334 0.196 0.801
Mn6 0.334 0.304 0.301
Mn7 0.377 0.050 0.937
Mn8 0.377 0.450 0.437
Mn9 0.623 0.550 0.563
Mn10 0.623 0.950 0.063
Mn11 0.666 0.696 0.699
Mn12 0.666 0.804 0.199
Mn13 0.834 0.196 0.699
Mn14 0.834 0.304 0.199
Mn15 0.877 0.050 0.563
Mn16 0.877 0.450 0.063
N1 0.160 0.234 0.198
N2 0.160 0.266 0.698
N3 0.215 0.526 0.810
N4 0.215 0.974 0.310
N5 0.219 0.030 0.551
N6 0.219 0.470 0.051
N7 0.231 0.703 0.940
N8 0.231 0.797 0.440
N9 0.269 0.203 0.940
N10 0.269 0.297 0.440
N11 0.281 0.530 0.551
N12 0.281 0.970 0.051
N13 0.285 0.026 0.810
N14 0.285 0.474 0.310
N15 0.340 0.734 0.198
N16 0.340 0.766 0.698
N17 0.660 0.234 0.302
N18 0.660 0.266 0.802
N19 0.715 0.526 0.690
N20 0.715 0.974 0.190
N21 0.719 0.030 0.949
N22 0.719 0.470 0.449
N23 0.731 0.703 0.560
N24 0.731 0.797 0.060
N25 0.769 0.203 0.560
N26 0.769 0.297 0.060
N27 0.781 0.530 0.949
N28 0.781 0.970 0.449
N29 0.785 0.026 0.690
N30 0.785 0.474 0.190
N31 0.840 0.734 0.302
N32 0.840 0.766 0.802
```

Values from the calculation:
calculated formation energy: -575 meV per atom
magnetic moment: 1.00 μB/f.u.
total DFT energy (no corrections): -0.5331 Ry/atom
calculated density: 3648 kg/m³
space group: Pbca (61)